Mg8Mn3N9 (PBE, relaxed); total energy = -251.4 eV per cell; crystal system = monoclinic; density = 3519 kg/m3; MP2020-corrected energy = -257.92 eV/cell
1.0
0.000 4.402 0.000
7.011 0.000 -0.064
-2.019 0.000 -14.821
N Mg Mn
18 16 6
direct
0.244 0.477 0.218 N
0.746 0.174 0.926 N
0.726 0.750 0.250 N
0.254 0.674 0.426 N
0.752 0.376 0.358 N
0.254 0.826 0.074 N
0.751 0.012 0.431 N
0.756 0.977 0.718 N
0.248 0.876 0.858 N
0.244 0.023 0.282 N
0.752 0.124 0.142 N
0.248 0.624 0.642 N
0.249 0.512 0.931 N
0.756 0.523 0.782 N
0.249 0.988 0.569 N
0.746 0.326 0.574 N
0.751 0.488 0.069 N
0.274 0.250 0.750 N
0.251 0.389 0.347 Mg
0.756 0.808 0.103 Mg
0.750 0.493 0.922 Mg
0.750 0.007 0.578 Mg
0.244 0.308 0.603 Mg
0.250 0.993 0.422 Mg
0.749 0.889 0.847 Mg
0.244 0.192 0.897 Mg
0.756 0.692 0.397 Mg
0.250 0.507 0.078 Mg
0.246 0.950 0.714 Mg
0.749 0.611 0.653 Mg
0.246 0.550 0.786 Mg
0.754 0.050 0.286 Mg
0.754 0.450 0.214 Mg
0.251 0.111 0.153 Mg
0.686 0.250 0.750 Mn
0.314 0.750 0.250 Mn
0.748 0.261 0.456 Mn
0.252 0.739 0.544 Mn
0.748 0.239 0.044 Mn
0.252 0.761 0.956 Mn

GdInPt4 (PBE, relaxed); total energy = -45.9 eV per cell; crystal system = cubic; density = 15428 kg/m3
1.0
0.000 3.840 3.840
3.840 0.000 3.840
3.840 3.840 0.000
Gd In Pt
1 1 4
direct
0.000 0.000 0.000 Gd
0.250 0.250 0.250 In
0.126 0.625 0.625 Pt
0.625 0.625 0.625 Pt
0.625 0.126 0.625 Pt
0.625 0.625 0.126 Pt

Ca2TlHg (PBE, relaxed); total energy = -8.7 eV per cell; crystal system = cubic; density = 7115 kg/m3
1.0
0.000 3.840 3.840
3.840 0.000 3.840
3.840 3.840 0.000
Ca Hg Tl
2 1 1
direct
0.250 0.250 0.250 Ca
0.750 0.750 0.750 Ca
0.500 0.500 0.500 Hg
0.000 0.000 0.000 Tl

Cs3SbO4 (PBE, relaxed); total energy = -156.1 eV per cell; crystal system = orthorhombic; density = 4478 kg/m3; MP2020-corrected energy = -167.10 eV/cell
1.0
-1.030 -6.774 1.247
9.147 -1.708 -1.722
2.754 1.922 12.718
Cs Sb O
12 4 16
direct
0.297 0.993 0.856 Cs
0.703 0.007 0.144 Cs
0.155 0.250 0.082 Cs
0.203 0.993 0.356 Cs
0.703 0.493 0.144 Cs
0.797 0.007 0.644 Cs
0.845 0.750 0.918 Cs
0.297 0.507 0.856 Cs
0.797 0.493 0.644 Cs
0.203 0.507 0.356 Cs
0.655 0.750 0.418 Cs
0.345 0.250 0.582 Cs
0.222 0.750 0.614 Sb
0.278 0.750 0.114 Sb
0.722 0.250 0.886 Sb
0.778 0.250 0.386 Sb
0.624 0.418 0.388 O
0.449 0.750 0.999 O
0.124 0.918 0.112 O
0.068 0.750 0.735 O
0.551 0.250 0.001 O
0.051 0.750 0.499 O
0.568 0.250 0.765 O
0.432 0.750 0.235 O
0.932 0.250 0.265 O
0.876 0.418 0.888 O
0.876 0.082 0.888 O
0.124 0.582 0.112 O
0.376 0.918 0.612 O
0.949 0.250 0.501 O
0.624 0.082 0.388 O
0.376 0.582 0.612 O

Ce2Se3 (PBE, relaxed); total energy = -251.6 eV per cell; crystal system = tetragonal; density = 6499 kg/m3; MP2020-corrected energy = -262.92 eV/cell
1.0
-4.448 4.448 13.354
4.448 -4.448 13.354
4.448 4.448 -13.354
Se Ce
24 16
direct
0.688 0.937 0.593 Se
0.721 0.326 0.754 Se
0.344 0.095 0.407 Se
0.905 0.312 0.249 Se
0.507 0.259 0.900 Se
0.009 0.757 0.400 Se
0.359 0.607 0.100 Se
0.062 0.155 0.749 Se
0.393 0.493 0.752 Se
0.029 0.283 0.105 Se
0.406 0.313 0.251 Se
0.357 0.609 0.600 Se
0.033 0.279 0.605 Se
0.845 0.594 0.907 Se
0.076 0.971 0.254 Se
0.063 0.656 0.751 Se
0.178 0.924 0.895 Se
0.717 0.822 0.746 Se
0.674 0.428 0.395 Se
0.391 0.991 0.748 Se
0.741 0.641 0.248 Se
0.243 0.643 0.252 Se
0.572 0.967 0.246 Se
0.687 0.938 0.093 Se
0.077 0.454 0.111 Ce
0.417 0.917 0.500 Ce
0.546 0.656 0.622 Ce
0.667 0.667 0.000 Ce
0.333 0.333 0.000 Ce
0.875 0.005 0.630 Ce
0.083 0.583 0.500 Ce
0.716 0.594 0.389 Ce
0.673 0.284 0.878 Ce
0.755 0.125 0.130 Ce
0.375 0.245 0.370 Ce
0.204 0.327 0.611 Ce
0.344 0.966 0.889 Ce
0.034 0.923 0.378 Ce
0.995 0.625 0.870 Ce
0.406 0.796 0.122 Ce

K4MgTi2S6 (PBE, relaxed); total energy = -61.2 eV per cell; crystal system = monoclinic; energy relative to the lowest polymorph listed for this composition = 0.0944 eV per atom; density = 2243 kg/m3; MP2020-corrected energy = -64.19 eV/cell
1.0
-4.528 1.441 -5.031
-6.947 -1.304 3.359
-4.284 5.821 3.002
K S Ti Mg
4 6 2 1
direct
0.298 0.820 0.488 K
0.871 0.581 0.820 K
0.202 0.512 0.180 K
0.629 0.180 0.419 K
0.250 0.381 0.619 S
0.527 0.832 0.934 S
0.008 0.942 0.824 S
0.750 0.560 0.440 S
0.492 0.176 0.058 S
0.973 0.066 0.168 S
0.750 0.869 0.131 Ti
0.250 0.085 0.915 Ti
0.750 0.244 0.756 Mg

CaF2 (PBE, relaxed); total energy = -34.1 eV per cell; crystal system = orthorhombic; energy relative to the lowest polymorph listed for this composition = 0.1823 eV per atom; piezoelectric modulus e_max = 0.909 C/m2; density = 2946 kg/m3; MP2020-corrected energy = -35.91 eV/cell
1.0
3.533 0.000 0.000
0.000 4.167 0.000
0.000 0.000 5.978
F Ca
4 2
direct
0.500 0.090 0.980 F
0.500 0.910 0.480 F
0.000 0.367 0.351 F
0.000 0.633 0.851 F
0.000 0.145 0.702 Ca
0.000 0.855 0.202 Ca

Lu7Te (PBE, relaxed); total energy = -74.4 eV per cell; crystal system = orthorhombic; density = 9791 kg/m3; MP2020-corrected energy = -75.27 eV/cell
1.0
1.871 -6.136 0.000
1.871 6.136 0.000
0.000 0.000 19.975
Lu Te
14 2
direct
0.980 0.020 0.609 Lu
0.980 0.020 0.891 Lu
0.437 0.563 0.250 Lu
0.245 0.755 0.855 Lu
0.358 0.642 0.488 Lu
0.642 0.358 0.512 Lu
0.020 0.980 0.391 Lu
0.563 0.437 0.750 Lu
0.020 0.980 0.109 Lu
0.245 0.755 0.645 Lu
0.755 0.245 0.355 Lu
0.755 0.245 0.145 Lu
0.642 0.358 0.988 Lu
0.358 0.642 0.012 Lu
0.851 0.149 0.750 Te
0.149 0.851 0.250 Te